[1]
Below is crystalline LaMg6Co at its relaxed geometry, with properties calculated at the PBE level.

Cell and atoms, written as POSCAR:
```
LaMg6Co
1.0
4.962 0.000 0.000
0.000 5.779 0.000
0.000 0.000 12.883
La Mg Co
2 12 2
Cartesian
2.481 2.890 2.480
2.481 0.000 8.922
2.481 1.458 5.696
2.481 4.322 5.696
0.000 4.382 0.986
0.000 1.397 0.986
0.000 0.000 3.677
0.000 2.890 4.598
2.481 4.347 12.138
2.481 1.432 12.138
0.000 1.493 7.427
0.000 4.287 7.427
0.000 2.890 10.118
0.000 0.000 11.040
2.481 0.000 1.646
2.481 2.890 8.087
```

Summary:
E_tot in eV/atom: -2.5960
Formation energy from the elements in meV per atom: 110
E above lowest polymorph in kcal/mol of atoms: 0.00
Size of the total moment in μB per formula unit: 0.559

=====

[2]
Below is crystalline LaNdCo10 at its relaxed geometry, with properties calculated at the PBE level.

Cell and atoms, written as POSCAR:
```
LaNdCo10
1.0
3.978 0.000 0.000
0.000 5.021 0.000
0.000 0.000 8.706
La Nd Co
1 1 10
Cartesian
0.000 0.000 0.000
0.000 2.511 4.353
0.000 0.000 2.899
0.000 2.511 7.252
0.000 2.511 1.453
0.000 0.000 5.807
1.989 0.000 4.353
1.989 2.511 0.000
1.989 1.263 2.190
1.989 3.758 6.516
1.989 3.758 2.190
1.989 1.263 6.516
```

Summary:
E_tot in eV/atom: -6.7590
Formation energy from the elements in meV per atom: -27
Size of the total moment in μB per formula unit: 14.128

=====

[3]
Below is crystalline La2Co5Ni5 at its relaxed geometry, with properties calculated at the PBE level.

Cell and atoms, written as POSCAR:
```
La2Co5Ni5
1.0
-0.555 -2.397 -3.129
-2.146 3.755 -2.497
7.698 2.312 -3.138
La Co Ni
2 5 5
Cartesian
-2.146 3.755 -2.497
2.776 3.034 -2.817
0.431 4.529 -3.547
5.340 3.804 -3.862
0.212 2.263 -1.772
2.976 5.293 -4.584
3.571 -0.042 -3.133
-1.350 0.679 -2.813
1.111 0.319 -2.973
3.887 3.351 -5.790
0.038 2.195 -4.221
4.959 1.475 -4.542
```

Summary:
E_tot in eV/atom: -6.3092
Formation energy from the elements in meV per atom: -116
Size of the total moment in μB per formula unit: 8.408